# 1
AlH15N5Cl3: optimized geometry, PBE.

Lattice parameters (Å, degrees): 13.652 10.699 6.786 90.00 90.00 90.00
Positions (direct):
Al: 0.101 0.250 0.177
Al: 0.399 0.750 0.677
Al: 0.601 0.250 0.323
Al: 0.899 0.750 0.823
H: 0.032 0.250 0.543
H: 0.034 0.023 0.218
H: 0.034 0.477 0.218
H: 0.042 0.673 0.605
H: 0.042 0.827 0.605
H: 0.113 0.024 0.035
H: 0.113 0.476 0.035
H: 0.152 0.021 0.265
H: 0.152 0.479 0.265
H: 0.196 0.172 0.869
H: 0.196 0.328 0.869
H: 0.207 0.173 0.473
H: 0.207 0.327 0.473
H: 0.216 0.750 0.833
H: 0.227 0.750 0.508
H: 0.273 0.250 0.008
H: 0.284 0.250 0.333
H: 0.293 0.673 0.973
H: 0.293 0.827 0.973
H: 0.304 0.672 0.369
H: 0.304 0.828 0.369
H: 0.348 0.521 0.765
H: 0.348 0.979 0.765
H: 0.387 0.524 0.535
H: 0.387 0.976 0.535
H: 0.458 0.173 0.105
H: 0.458 0.327 0.105
H: 0.466 0.523 0.718
H: 0.466 0.977 0.718
H: 0.468 0.750 0.043
H: 0.532 0.250 0.957
H: 0.534 0.023 0.282
H: 0.534 0.477 0.282
H: 0.542 0.673 0.895
H: 0.542 0.827 0.895
H: 0.613 0.024 0.465
H: 0.613 0.476 0.465
H: 0.652 0.021 0.235
H: 0.652 0.479 0.235
H: 0.696 0.172 0.631
H: 0.696 0.328 0.631
H: 0.707 0.173 0.027
H: 0.707 0.327 0.027
H: 0.716 0.750 0.667
H: 0.727 0.750 0.992
H: 0.773 0.250 0.492
H: 0.784 0.250 0.167
H: 0.793 0.673 0.527
H: 0.793 0.827 0.527
H: 0.804 0.672 0.131
H: 0.804 0.828 0.131
H: 0.848 0.521 0.735
H: 0.848 0.979 0.735
H: 0.887 0.524 0.965
H: 0.887 0.976 0.965
H: 0.958 0.173 0.395
H: 0.958 0.327 0.395
H: 0.966 0.523 0.782
H: 0.966 0.977 0.782
H: 0.968 0.750 0.457
N: 0.004 0.250 0.404
N: 0.100 0.060 0.174
N: 0.100 0.440 0.174
N: 0.203 0.250 0.957
N: 0.213 0.250 0.382
N: 0.287 0.750 0.882
N: 0.297 0.750 0.457
N: 0.400 0.560 0.674
N: 0.400 0.940 0.674
N: 0.496 0.750 0.904
N: 0.504 0.250 0.096
N: 0.600 0.060 0.326
N: 0.600 0.440 0.326
N: 0.703 0.250 0.543
N: 0.713 0.250 0.118
N: 0.787 0.750 0.618
N: 0.797 0.750 0.043
N: 0.900 0.560 0.826
N: 0.900 0.940 0.826
N: 0.996 0.750 0.596
Cl: 0.027 0.750 0.046
Cl: 0.148 0.501 0.666
Cl: 0.148 0.999 0.666
Cl: 0.352 0.001 0.166
Cl: 0.352 0.499 0.166
Cl: 0.473 0.250 0.546
Cl: 0.527 0.750 0.454
Cl: 0.648 0.501 0.834
Cl: 0.648 0.999 0.834
Cl: 0.852 0.001 0.334
Cl: 0.852 0.499 0.334
Cl: 0.973 0.250 0.954

Summary:
Total DFT energy (no corrections) ... -4.906 eV/atom
ρ ... 1.46 g/cm3
ΔH_f (0 K) ... -71.2 kJ per mole of atoms


# 2
AlH6N2Cl3: optimized geometry, PBE.

Lattice parameters (Å, degrees): 11.505 18.327 6.587 90.00 90.00 90.00
Positions (direct):
Al: 0.000 0.000 0.000
Al: 0.000 0.500 0.000
Al: 0.240 0.250 0.445
Al: 0.260 0.750 0.945
Al: 0.500 0.000 0.500
Al: 0.500 0.500 0.500
Al: 0.740 0.250 0.055
Al: 0.760 0.750 0.555
H: 0.046 0.126 0.146
H: 0.046 0.374 0.146
H: 0.082 0.612 0.205
H: 0.082 0.888 0.205
H: 0.091 0.540 0.351
H: 0.091 0.960 0.351
H: 0.114 0.120 0.927
H: 0.114 0.380 0.927
H: 0.170 0.083 0.131
H: 0.170 0.417 0.131
H: 0.188 0.555 0.172
H: 0.188 0.945 0.172
H: 0.312 0.055 0.672
H: 0.312 0.445 0.672
H: 0.330 0.583 0.631
H: 0.330 0.917 0.631
H: 0.386 0.620 0.427
H: 0.386 0.880 0.427
H: 0.409 0.040 0.851
H: 0.409 0.460 0.851
H: 0.418 0.112 0.705
H: 0.418 0.388 0.705
H: 0.454 0.626 0.646
H: 0.454 0.874 0.646
H: 0.546 0.126 0.354
H: 0.546 0.374 0.354
H: 0.582 0.612 0.295
H: 0.582 0.888 0.295
H: 0.591 0.540 0.149
H: 0.591 0.960 0.149
H: 0.614 0.120 0.573
H: 0.614 0.380 0.573
H: 0.670 0.083 0.369
H: 0.670 0.417 0.369
H: 0.688 0.555 0.328
H: 0.688 0.945 0.328
H: 0.812 0.055 0.828
H: 0.812 0.445 0.828
H: 0.830 0.583 0.869
H: 0.830 0.917 0.869
H: 0.886 0.620 0.073
H: 0.886 0.880 0.073
H: 0.909 0.040 0.649
H: 0.909 0.460 0.649
H: 0.918 0.112 0.795
H: 0.918 0.388 0.795
H: 0.954 0.626 0.854
H: 0.954 0.874 0.854
N: 0.093 0.091 0.056
N: 0.093 0.409 0.056
N: 0.101 0.557 0.203
N: 0.101 0.943 0.203
N: 0.399 0.057 0.703
N: 0.399 0.443 0.703
N: 0.407 0.591 0.556
N: 0.407 0.909 0.556
N: 0.593 0.091 0.444
N: 0.593 0.409 0.444
N: 0.601 0.557 0.297
N: 0.601 0.943 0.297
N: 0.899 0.057 0.797
N: 0.899 0.443 0.797
N: 0.907 0.591 0.944
N: 0.907 0.909 0.944
Cl: 0.088 0.750 0.078
Cl: 0.126 0.532 0.734
Cl: 0.126 0.968 0.734
Cl: 0.145 0.155 0.548
Cl: 0.145 0.345 0.548
Cl: 0.246 0.750 0.620
Cl: 0.254 0.250 0.120
Cl: 0.355 0.655 0.048
Cl: 0.355 0.845 0.048
Cl: 0.374 0.032 0.234
Cl: 0.374 0.468 0.234
Cl: 0.412 0.250 0.578
Cl: 0.588 0.750 0.422
Cl: 0.626 0.532 0.766
Cl: 0.626 0.968 0.766
Cl: 0.645 0.155 0.952
Cl: 0.645 0.345 0.952
Cl: 0.746 0.750 0.880
Cl: 0.754 0.250 0.380
Cl: 0.855 0.655 0.452
Cl: 0.855 0.845 0.452
Cl: 0.874 0.032 0.266
Cl: 0.874 0.468 0.266
Cl: 0.912 0.250 0.922

Summary:
Total DFT energy (no corrections) ... -4.730 eV/atom
ρ ... 1.60 g/cm3
ΔH_f (0 K) ... -98.7 kJ per mole of atoms


# 3
NaAl2H18S4N4ClO18: optimized geometry, PBE.

Lattice parameters (Å, degrees): 14.196 14.196 14.196 99.29 99.29 132.61
Positions (direct):
Na: 0.125 0.875 0.250
Na: 0.375 0.625 0.750
Na: 0.625 0.375 0.250
Na: 0.875 0.125 0.750
Al: 0.072 0.822 0.645
Al: 0.178 0.322 0.250
Al: 0.322 0.572 0.145
Al: 0.428 0.072 0.750
Al: 0.572 0.928 0.250
Al: 0.678 0.428 0.855
Al: 0.822 0.678 0.750
Al: 0.928 0.178 0.355
H: 0.034 0.548 0.919
H: 0.039 0.433 0.633
H: 0.041 0.750 0.791
H: 0.048 0.534 0.419
H: 0.067 0.461 0.867
H: 0.089 0.675 0.483
H: 0.094 0.200 0.633
H: 0.106 0.192 0.517
H: 0.115 0.034 0.986
H: 0.126 0.662 0.376
H: 0.129 0.115 0.581
H: 0.162 0.626 0.876
H: 0.175 0.589 0.983
H: 0.192 0.175 0.086
H: 0.200 0.067 0.106
H: 0.214 0.250 0.876
H: 0.250 0.041 0.791
H: 0.250 0.286 0.624
H: 0.250 0.541 0.291
H: 0.250 0.874 0.036
H: 0.286 0.162 0.036
H: 0.300 0.406 0.867
H: 0.308 0.394 0.983
H: 0.325 0.308 0.414
H: 0.338 0.214 0.464
H: 0.371 0.952 0.986
H: 0.374 0.750 0.536
H: 0.385 0.371 0.919
H: 0.394 0.911 0.086
H: 0.406 0.039 0.106
H: 0.411 0.894 0.586
H: 0.433 0.300 0.394
H: 0.452 0.871 0.486
H: 0.459 0.250 0.709
H: 0.461 0.094 0.394
H: 0.466 0.385 0.514
H: 0.534 0.615 0.486
H: 0.539 0.906 0.606
H: 0.541 0.750 0.291
H: 0.548 0.129 0.514
H: 0.567 0.700 0.606
H: 0.589 0.106 0.414
H: 0.594 0.961 0.894
H: 0.606 0.089 0.914
H: 0.615 0.629 0.081
H: 0.626 0.250 0.464
H: 0.629 0.048 0.014
H: 0.662 0.786 0.536
H: 0.675 0.692 0.586
H: 0.692 0.606 0.017
H: 0.700 0.594 0.133
H: 0.714 0.838 0.964
H: 0.750 0.126 0.964
H: 0.750 0.459 0.709
H: 0.750 0.714 0.376
H: 0.750 0.959 0.209
H: 0.786 0.750 0.124
H: 0.800 0.933 0.894
H: 0.808 0.825 0.914
H: 0.825 0.411 0.017
H: 0.838 0.374 0.124
H: 0.871 0.885 0.419
H: 0.874 0.338 0.624
H: 0.885 0.966 0.014
H: 0.894 0.808 0.483
H: 0.906 0.800 0.367
H: 0.911 0.325 0.517
H: 0.933 0.539 0.133
H: 0.952 0.466 0.581
H: 0.959 0.250 0.209
H: 0.961 0.567 0.367
H: 0.966 0.452 0.081
S: 0.014 0.038 0.276
S: 0.038 0.262 0.025
S: 0.237 0.762 0.724
S: 0.238 0.462 0.475
S: 0.262 0.737 0.224
S: 0.263 0.986 0.525
S: 0.462 0.486 0.224
S: 0.486 0.763 0.025
S: 0.514 0.237 0.975
S: 0.538 0.514 0.776
S: 0.737 0.014 0.475
S: 0.738 0.263 0.776
S: 0.762 0.538 0.525
S: 0.763 0.238 0.276
S: 0.962 0.738 0.975
S: 0.986 0.962 0.724
N: 0.056 0.610 0.411
N: 0.110 0.556 0.911
N: 0.144 0.198 0.589
N: 0.198 0.110 0.054
N: 0.302 0.356 0.911
N: 0.356 0.944 0.054
N: 0.390 0.302 0.446
N: 0.444 0.856 0.554
N: 0.556 0.144 0.446
N: 0.610 0.698 0.554
N: 0.644 0.056 0.946
N: 0.698 0.644 0.089
N: 0.802 0.890 0.946
N: 0.856 0.802 0.411
N: 0.890 0.444 0.089
N: 0.944 0.390 0.589
Cl: 0.125 0.375 0.750
Cl: 0.375 0.125 0.250
Cl: 0.625 0.875 0.750
Cl: 0.875 0.625 0.250
O: 0.012 0.250 0.262
O: 0.012 0.909 0.639
O: 0.020 0.837 0.077
O: 0.057 0.980 0.317
O: 0.061 0.743 0.948
O: 0.091 0.229 0.102
O: 0.096 0.339 0.470
O: 0.112 0.061 0.818
O: 0.126 0.869 0.530
O: 0.127 0.729 0.639
O: 0.131 0.161 0.257
O: 0.161 0.404 0.030
O: 0.163 0.740 0.183
O: 0.206 0.757 0.818
O: 0.229 0.627 0.139
O: 0.240 0.663 0.683
O: 0.243 0.561 0.448
O: 0.250 0.488 0.238
O: 0.250 0.988 0.738
O: 0.257 0.706 0.318
O: 0.260 0.943 0.423
O: 0.271 0.409 0.398
O: 0.294 0.112 0.552
O: 0.337 0.520 0.577
O: 0.339 0.369 0.243
O: 0.369 0.626 0.030
O: 0.373 0.012 0.602
O: 0.374 0.904 0.743
O: 0.388 0.206 0.948
O: 0.404 0.874 0.243
O: 0.409 0.512 0.139
O: 0.439 0.388 0.682
O: 0.443 0.760 0.923
O: 0.480 0.557 0.817
O: 0.488 0.127 0.898
O: 0.488 0.750 0.238
O: 0.512 0.250 0.762
O: 0.512 0.873 0.102
O: 0.520 0.443 0.183
O: 0.557 0.240 0.077
O: 0.561 0.612 0.318
O: 0.591 0.488 0.861
O: 0.596 0.126 0.757
O: 0.612 0.794 0.052
O: 0.626 0.096 0.257
O: 0.627 0.988 0.398
O: 0.631 0.374 0.970
O: 0.661 0.631 0.757
O: 0.663 0.480 0.423
O: 0.706 0.888 0.448
O: 0.729 0.591 0.602
O: 0.740 0.057 0.577
O: 0.743 0.294 0.682
O: 0.750 0.012 0.262
O: 0.750 0.512 0.762
O: 0.757 0.439 0.552
O: 0.760 0.337 0.317
O: 0.771 0.373 0.861
O: 0.794 0.243 0.182
O: 0.837 0.260 0.817
O: 0.839 0.596 0.970
O: 0.869 0.839 0.743
O: 0.873 0.271 0.361
O: 0.874 0.131 0.470
O: 0.888 0.939 0.182
O: 0.904 0.661 0.530
O: 0.909 0.771 0.898
O: 0.939 0.257 0.052
O: 0.943 0.020 0.683
O: 0.980 0.163 0.923
O: 0.988 0.091 0.361
O: 0.988 0.750 0.738

Summary:
Total DFT energy (no corrections) ... -5.611 eV/atom
ρ ... 2.08 g/cm3
ΔH_f (0 K) ... -142.7 kJ per mole of atoms


# 4
NaAl2H8Cl4O8: optimized geometry, PBE.

Lattice parameters (Å, degrees): 10.146 10.146 7.999 90.00 90.00 90.00
Positions (direct):
Na: 0.250 0.750 0.000
Na: 0.750 0.250 0.000
Al: 0.000 0.000 0.500
Al: 0.000 0.500 0.500
Al: 0.500 0.000 0.500
Al: 0.500 0.500 0.500
H: 0.126 0.713 0.218
H: 0.126 0.787 0.218
H: 0.213 0.626 0.782
H: 0.213 0.874 0.782
H: 0.287 0.626 0.782
H: 0.287 0.874 0.782
H: 0.374 0.713 0.218
H: 0.374 0.787 0.218
H: 0.626 0.213 0.782
H: 0.626 0.287 0.782
H: 0.713 0.126 0.218
H: 0.713 0.374 0.218
H: 0.787 0.126 0.218
H: 0.787 0.374 0.218
H: 0.874 0.213 0.782
H: 0.874 0.287 0.782
Cl: 0.070 0.070 0.737
Cl: 0.070 0.430 0.737
Cl: 0.430 0.070 0.737
Cl: 0.430 0.430 0.737
Cl: 0.570 0.570 0.263
Cl: 0.570 0.930 0.263
Cl: 0.930 0.570 0.263
Cl: 0.930 0.930 0.263
O: 0.014 0.685 0.608
O: 0.014 0.815 0.608
O: 0.185 0.514 0.392
O: 0.185 0.986 0.392
O: 0.315 0.514 0.392
O: 0.315 0.986 0.392
O: 0.486 0.685 0.608
O: 0.486 0.815 0.608
O: 0.514 0.185 0.392
O: 0.514 0.315 0.392
O: 0.685 0.014 0.608
O: 0.685 0.486 0.608
O: 0.815 0.014 0.608
O: 0.815 0.486 0.608
O: 0.986 0.185 0.392
O: 0.986 0.315 0.392

Summary:
Total DFT energy (no corrections) ... -3.994 eV/atom
ρ ... 1.43 g/cm3
ΔH_f (0 K) ... -42.9 kJ per mole of atoms